1.
This record from the Materials Project database describes a geometry-optimized Yb3V structure. The functional is meta-GGA r2SCAN.

The structure in extended XYZ format:
```
4
Lattice="-1.421 -2.077 4.013 -3.587 -2.040 -2.326 2.748 -3.737 -0.961" Properties=species:S:1:pos:R:3 pbc="T T T"
Yb -0.420 -2.888 -1.644
Yb 0.664 -2.907 1.526
Yb -2.504 -2.059 0.844
V 0.000 0.000 0.000
```

Summary:
Polymorph energy (0 for the lowest one): 114 meV/atom
Formation energy from the elements: 237 meV per atom
Energy: -1.1276 hartree per atom
Magnetization: 1.2961 μB per atom


2.
This record from the Materials Project database describes a geometry-optimized Yb3V structure. The functional is meta-GGA r2SCAN.

The structure in extended XYZ format:
```
4
Lattice="0.000 3.716 3.716 3.716 0.000 3.716 3.716 3.716 0.000" Properties=species:S:1:pos:R:3 pbc="T T T"
Yb 1.858 1.858 1.858
Yb 5.574 5.574 5.574
Yb 3.716 3.716 3.716
V 0.000 0.000 0.000
```

Summary:
Polymorph energy (0 for the lowest one): 0 meV/atom
Formation energy from the elements: 123 meV per atom
Energy: -1.1318 hartree per atom
Magnetization: 0.9991 μB per atom


3.
This record from the Materials Project database describes a geometry-optimized Xe structure. The functional is meta-GGA r2SCAN.

The structure in extended XYZ format:
```
3
Lattice="3.812 1.069 -2.232 0.035 -3.331 3.092 -3.799 -8.770 -6.064" Properties=species:S:1:pos:R:3 pbc="T T T"
Xe 0.000 0.000 0.000
Xe 1.707 -2.830 -3.068
Xe -1.659 -8.201 -2.136
```

Summary:
Polymorph energy (0 for the lowest one): 0 meV/atom
Formation energy from the elements: 0 meV per atom
Energy: -0.8777 hartree per atom
Magnetization: 0.0000 μB per atom


Question: The highest formation energy from the elements belongs to which entry?
Answer: number 1